An optimized crystal structure of Er2Pd2Pb. Source: the Materials Project, functional PBE.

For the total energy, the calculation gives -5.487 eV per atom. The calculation puts the mass density at 11.209 Mg/m³. The space-group type is P4/mbm. The value obtained for the energy of formation from the pure elements is -0.845 eV/atom.

Cell: 7.933 7.933 3.553 Å, 90.00 90.00 90.00°
Element x y z (fractional)
Pd: 0.626 0.874 0.000
Pd: 0.374 0.126 0.000
Pd: 0.126 0.626 0.000
Pd: 0.874 0.374 0.000
Er: 0.831 0.669 0.500
Er: 0.669 0.169 0.500
Er: 0.331 0.831 0.500
Er: 0.169 0.331 0.500
Pb: 0.000 0.000 0.000
Pb: 0.500 0.500 0.000



An optimized crystal structure of Cs2MgRe2O8. Source: the Materials Project, functional PBE.

For the total energy, the calculation gives -6.970 eV per atom. The calculation puts the mass density at 4.460 Mg/m³. The space-group type is C2/m. The value obtained for the energy of formation from the pure elements is -2.173 eV/atom. The value obtained for the distance to the lowest polymorph of the same formula is 0.000 eV per atom.

Cell: 6.008 6.672 9.493 Å, 123.32 108.45 90.00°
Element x y z (fractional)
O: 0.287 0.265 0.118
O: 0.336 0.829 0.671
O: 0.320 0.338 0.639
O: 0.664 0.171 0.329
O: 0.169 0.735 0.882
O: 0.713 0.735 0.882
O: 0.680 0.662 0.361
O: 0.831 0.265 0.118
Re: 0.614 0.333 0.228
Re: 0.386 0.667 0.772
Cs: 0.844 0.220 0.688
Cs: 0.156 0.780 0.312
Mg: 0.000 0.000 0.000